Record 1
VASP calculation (GGA-PBE) on DySb after structural relaxation.

It has space group Pm-3m (No. 221), with a = 3.8035 Å, b = 3.8035 Å, c = 3.8035 Å, α = 90.00°, β = 90.00° and γ = 90.00°. The distinct sites, in fractional coordinates, are Dy at (0.0000, 0.0000, 0.0000) and Sb at (0.5000, 0.5000, 0.5000).

The calculation puts the magnetization at 0.000 Bohr magnetons per cell. The formation energy comes out at -878 meV per atom.

---

Record 2
VASP calculation (GGA-PBE) on Dy5Si2Sb2 after structural relaxation.

It has space group Cmce (No. 64), with a = 15.1899 Å, b = 7.8102 Å, c = 7.8384 Å, α = 90.00°, β = 90.00° and γ = 90.00°. The distinct sites, in fractional coordinates, are Dy at (0.0000, 0.0000, 0.0000), Dy at (0.1263, 0.1665, 0.3344), Si at (0.0000, 0.1323, 0.6312) and Sb at (0.2057, 0.0000, 0.0000).

The formation energy comes out at -960 meV per atom.

---

Record 3
VASP calculation (GGA-PBE) on DyVSb3 after structural relaxation.

It has space group Pbcm (No. 57), with a = 12.8352 Å, b = 6.2554 Å, c = 5.9656 Å, α = 90.00°, β = 90.00° and γ = 90.00°. The distinct sites, in fractional coordinates, are Dy at (0.1895, 0.0037, 0.2500), V at (0.4002, 0.7500, 0.0000), Sb at (0.0018, 0.7500, 0.0000), Sb at (0.2728, 0.0055, 0.7500) and Sb at (0.4340, 0.1056, 0.2500).

The formation energy comes out at -626 meV per atom.

---

Record 4
VASP calculation (GGA-PBE) on DyZrSb after structural relaxation.

It has space group I4/mmm (No. 139), with a = 4.2766 Å, b = 4.2766 Å, c = 16.6579 Å, α = 90.00°, β = 90.00° and γ = 90.00°. The distinct sites, in fractional coordinates, are Dy at (0.0000, 0.0000, 0.1767), Zr at (0.0000, 0.5000, 0.0000) and Sb at (0.0000, 0.0000, 0.3668).

The formation energy comes out at -863 meV per atom.

---

Record 5
VASP calculation (GGA-PBE) on DySe2 after structural relaxation.

It has space group P4/nmm (No. 129, origin choice 2), with a = 4.0706 Å, b = 4.0706 Å, c = 8.3414 Å, α = 90.00°, β = 90.00° and γ = 90.00°. The distinct sites, in fractional coordinates, are Dy at (0.2500, 0.2500, 0.2261), Se at (0.2500, 0.2500, 0.8697) and Se at (0.2500, 0.7500, 0.5000).

The formation energy comes out at -1869 meV per atom.

---

Record 6
VASP calculation (GGA-PBE) on Dy3Se4 after structural relaxation.

It has space group I-43d (No. 220), with a = 8.6858 Å, b = 8.6858 Å, c = 8.6858 Å, α = 90.00°, β = 90.00° and γ = 90.00°. The distinct sites, in fractional coordinates, are Dy at (0.0000, 0.2500, 0.8750) and Se at (0.0716, 0.4284, 0.5716).

The calculation puts the magnetization at 0.001 Bohr magnetons per cell. The formation energy comes out at -2038 meV per atom.